A geometry-optimized Sr2MgTi2S6 structure, computed with PBE.

Calculated values
As for the space-group type: No. 1. The calculation puts the density at 3365 kg/m3. The calculated total energy comes out at -62.557 eV/f.u. The formation energy from the elements comes out at -1.8169 eV/atom.

```
Sr2MgTi2S6
1.0
0.888 -0.615 -5.651
-3.336 -5.807 -0.114
-4.027 6.226 1.278
Sr Mg Ti S
2 1 2 6
direct
0.319 0.605 0.225
0.647 0.391 0.786
0.022 0.230 0.460
0.481 0.990 0.978
0.985 0.987 0.975
0.606 0.844 0.678
0.823 0.836 0.171
0.803 0.339 0.173
0.376 0.165 0.322
0.151 0.168 0.809
0.171 0.644 0.812
```



A geometry-optimized Sr2MgTi2S6 structure, computed with PBE.

Calculated values
As for the space-group type: No. 8. The calculation puts the density at 3279 kg/m3. The calculated total energy comes out at -62.296 eV/f.u. The formation energy from the elements comes out at -1.7932 eV/atom.

```
Sr2MgTi2S6
1.0
-5.781 -1.382 -0.773
-1.466 2.018 -6.662
3.170 -6.211 1.409
Sr Mg Ti S
2 1 2 6
direct
0.289 0.696 0.304
0.872 0.408 0.592
0.451 0.243 0.757
0.481 0.990 0.010
0.977 0.996 0.004
0.671 0.859 0.672
0.822 0.835 0.165
0.671 0.328 0.141
0.290 0.159 0.348
0.122 0.164 0.836
0.290 0.652 0.841
```



A geometry-optimized Sr2MgTi2S6 structure, computed with PBE.

Calculated values
As for the space-group type: No. 12. The calculation puts the density at 3178 kg/m3. The calculated total energy comes out at -62.197 eV/f.u. The formation energy from the elements comes out at -1.7842 eV/atom.

```
Sr2MgTi2S6
1.0
5.016 -3.028 0.188
3.347 5.687 2.321
-1.314 -5.470 4.758
Sr Mg Ti S
2 1 2 6
direct
0.340 0.727 0.453
0.660 0.273 0.547
0.000 0.500 0.000
0.500 0.000 0.000
0.000 0.000 0.000
0.833 0.839 0.678
0.703 0.833 0.164
0.703 0.332 0.164
0.167 0.161 0.322
0.297 0.167 0.836
0.297 0.668 0.836
```



A geometry-optimized Tb2MgS4 structure, computed with PBE.

Calculated values
As for the space-group type: No. 227. The calculation puts the density at 4411 kg/m3. The calculated total energy comes out at -40.539 eV/f.u. The formation energy from the elements comes out at -2.1623 eV/atom.

```
Tb2MgS4
1.0
0.000 5.616 5.616
5.616 0.000 5.616
5.616 5.616 0.000
Tb Mg S
4 2 8
direct
0.125 0.625 0.125
0.125 0.125 0.625
0.625 0.125 0.125
0.125 0.125 0.125
0.500 0.500 0.500
0.750 0.750 0.750
0.879 0.879 0.879
0.362 0.879 0.879
0.879 0.362 0.879
0.879 0.879 0.362
0.371 0.371 0.888
0.371 0.888 0.371
0.888 0.371 0.371
0.371 0.371 0.371
```



A geometry-optimized Tb2MgS4 structure, computed with PBE.

Calculated values
As for the space-group type: No. 62. The calculation puts the density at 4417 kg/m3. The calculated total energy comes out at -40.478 eV/f.u. The formation energy from the elements comes out at -2.1536 eV/atom.

```
Tb2MgS4
1.0
13.593 0.000 0.000
0.000 7.947 0.000
0.000 0.000 6.549
Tb Mg S
8 4 16
direct
0.000 0.000 0.500
0.500 0.000 0.000
0.500 0.500 0.000
0.000 0.500 0.500
0.232 0.750 0.999
0.768 0.250 0.001
0.268 0.250 0.499
0.732 0.750 0.501
0.093 0.250 0.922
0.907 0.750 0.078
0.407 0.750 0.422
0.593 0.250 0.578
0.169 0.010 0.742
0.831 0.990 0.258
0.331 0.990 0.242
0.669 0.010 0.758
0.669 0.490 0.758
0.331 0.510 0.242
0.831 0.510 0.258
0.169 0.490 0.742
0.070 0.750 0.247
0.930 0.250 0.753
0.430 0.250 0.747
0.570 0.750 0.253
0.092 0.250 0.289
0.908 0.750 0.711
0.408 0.750 0.789
0.592 0.250 0.211
```



A geometry-optimized Tb2MgS4 structure, computed with PBE.

Calculated values
As for the space-group type: No. 122. The calculation puts the density at 5424 kg/m3. The calculated total energy comes out at -40.116 eV/f.u. The formation energy from the elements comes out at -2.1018 eV/atom.

```
Tb2MgS4
1.0
0.278 -6.085 -3.854
2.958 -1.398 6.423
-6.821 2.199 0.775
Tb Mg S
4 2 8
direct
0.875 0.757 0.382
0.507 0.125 0.882
0.375 0.493 0.618
0.243 0.625 0.118
0.000 0.000 0.000
0.750 0.250 0.500
0.506 0.378 0.263
0.757 0.494 0.872
0.115 0.243 0.737
0.622 0.885 0.128
0.244 0.007 0.372
0.993 0.365 0.237
0.635 0.872 0.628
0.128 0.756 0.763
```



A geometry-optimized Tb2MgS4 structure, computed with PBE.

Calculated values
As for the space-group type: No. 29. The calculation puts the density at 5055 kg/m3. The calculated total energy comes out at -40.514 eV/f.u. The formation energy from the elements comes out at -2.1588 eV/atom.

```
Tb2MgS4
1.0
-1.678 5.565 -4.880
-12.072 -0.178 3.947
2.806 8.717 8.976
Tb Mg S
16 8 32
direct
0.883 0.109 0.685
0.117 0.891 0.185
0.883 0.391 0.185
0.117 0.609 0.685
0.382 0.128 0.326
0.618 0.872 0.826
0.382 0.372 0.826
0.618 0.628 0.326
0.629 0.133 0.993
0.371 0.867 0.493
0.629 0.367 0.493
0.371 0.633 0.993
0.129 0.134 0.991
0.871 0.866 0.491
0.129 0.366 0.491
0.871 0.634 0.991
0.382 0.110 0.691
0.618 0.890 0.191
0.382 0.390 0.191
0.618 0.610 0.691
0.878 0.126 0.321
0.122 0.874 0.821
0.878 0.374 0.821
0.122 0.626 0.321
0.878 0.013 0.878
0.122 0.987 0.378
0.878 0.487 0.378
0.122 0.513 0.878
0.377 0.033 0.130
0.623 0.967 0.630
0.377 0.467 0.630
0.623 0.533 0.130
0.372 0.021 0.869
0.628 0.979 0.369
0.372 0.479 0.369
0.628 0.521 0.869
0.872 0.042 0.137
0.128 0.958 0.637
0.872 0.458 0.637
0.128 0.542 0.137
0.879 0.212 0.501
0.121 0.788 0.001
0.879 0.288 0.001
0.121 0.712 0.501
0.380 0.213 0.520
0.620 0.787 0.020
0.380 0.287 0.020
0.620 0.713 0.520
0.128 0.233 0.776
0.872 0.767 0.276
0.128 0.267 0.276
0.872 0.733 0.776
0.631 0.231 0.777
0.369 0.769 0.277
0.631 0.269 0.277
0.369 0.731 0.777
```



A geometry-optimized Tb2MgS4 structure, computed with PBE.

Calculated values
As for the space-group type: No. 2. The calculation puts the density at 4033 kg/m3. The calculated total energy comes out at -39.216 eV/f.u. The formation energy from the elements comes out at -1.9733 eV/atom.

```
Tb2MgS4
1.0
-3.554 -6.242 1.067
0.515 1.129 8.317
-11.531 5.445 2.155
Tb Mg S
8 4 16
direct
0.135 0.700 0.694
0.865 0.300 0.306
0.241 0.872 0.001
0.759 0.128 0.999
0.368 0.555 0.305
0.632 0.445 0.695
0.366 0.042 0.308
0.634 0.958 0.692
0.134 0.200 0.700
0.866 0.800 0.300
0.249 0.378 0.996
0.751 0.622 0.004
0.093 0.644 0.897
0.907 0.356 0.103
0.108 0.156 0.892
0.892 0.844 0.108
0.168 0.781 0.372
0.832 0.219 0.628
0.192 0.282 0.376
0.808 0.718 0.624
0.303 0.980 0.629
0.697 0.020 0.371
0.305 0.456 0.629
0.695 0.544 0.371
0.394 0.104 0.104
0.606 0.896 0.896
0.405 0.592 0.101
0.595 0.408 0.899
```



A geometry-optimized Tb2MgS4 structure, computed with PBE.

Calculated values
As for the space-group type: No. 62. The calculation puts the density at 4736 kg/m3. The calculated total energy comes out at -40.148 eV/f.u. The formation energy from the elements comes out at -2.1065 eV/atom.

```
Tb2MgS4
1.0
-2.744 1.064 2.505
-3.812 -12.029 0.934
8.588 -1.928 10.226
Tb Mg S
8 4 16
direct
0.250 0.118 0.076
0.750 0.882 0.924
0.750 0.382 0.576
0.250 0.618 0.424
0.250 0.139 0.706
0.750 0.861 0.294
0.750 0.361 0.206
0.250 0.639 0.794
0.750 0.111 0.453
0.250 0.889 0.547
0.250 0.389 0.953
0.750 0.611 0.047
0.750 0.008 0.615
0.250 0.992 0.385
0.250 0.492 0.115
0.750 0.508 0.885
0.250 0.027 0.883
0.750 0.973 0.117
0.750 0.473 0.383
0.250 0.527 0.617
0.250 0.225 0.249
0.750 0.775 0.751
0.750 0.275 0.749
0.250 0.725 0.251
0.750 0.262 0.016
0.250 0.738 0.984
0.250 0.238 0.516
0.750 0.762 0.484
```



A geometry-optimized Tb2MgS4 structure, computed with PBE.

Calculated values
As for the space-group type: No. 62. The calculation puts the density at 4684 kg/m3. The calculated total energy comes out at -39.044 eV/f.u. The formation energy from the elements comes out at -1.9487 eV/atom.

```
Tb2MgS4
1.0
-5.189 5.403 2.713
-5.526 -4.349 -1.908
0.295 -4.927 10.375
Tb Mg S
8 4 16
direct
0.041 0.750 0.309
0.959 0.250 0.691
0.459 0.250 0.809
0.541 0.750 0.191
0.073 0.250 0.022
0.927 0.750 0.978
0.427 0.750 0.522
0.573 0.250 0.478
0.182 0.250 0.409
0.818 0.750 0.591
0.318 0.750 0.909
0.682 0.250 0.091
0.131 0.501 0.843
0.869 0.499 0.157
0.369 0.499 0.343
0.631 0.501 0.657
0.631 0.999 0.657
0.369 0.001 0.343
0.869 0.001 0.157
0.131 0.999 0.843
0.897 0.250 0.456
0.103 0.750 0.544
0.603 0.750 0.956
0.397 0.250 0.044
0.220 0.750 0.109
0.780 0.250 0.891
0.280 0.250 0.609
0.720 0.750 0.391
```



A geometry-optimized Tb2MgS4 structure, computed with PBE.

Calculated values
As for the space-group type: No. 36. The calculation puts the density at 5072 kg/m3. The calculated total energy comes out at -40.501 eV/f.u. The formation energy from the elements comes out at -2.1568 eV/atom.

```
Tb2MgS4
1.0
1.903 -6.264 0.000
1.903 6.264 0.000
0.000 0.000 12.919
Tb Mg S
4 2 8
direct
0.382 0.618 0.784
0.618 0.382 0.284
0.138 0.862 0.582
0.862 0.138 0.082
0.126 0.874 0.946
0.874 0.126 0.446
0.790 0.210 0.635
0.210 0.790 0.135
0.489 0.511 0.997
0.511 0.489 0.497
0.762 0.238 0.895
0.238 0.762 0.395
0.037 0.963 0.769
0.963 0.037 0.269
```



A geometry-optimized MgTi8S16 structure, computed with PBE.

Calculated values
As for the space-group type: No. 58. The calculation puts the density at 3139 kg/m3. The calculated total energy comes out at -163.438 eV/f.u. The formation energy from the elements comes out at -1.6216 eV/atom.

```
MgTi8S16
1.0
7.016 0.000 0.000
0.000 9.905 0.000
0.000 0.000 14.010
Mg Ti S
2 16 32
direct
0.000 0.500 0.500
0.500 0.000 0.000
0.242 0.255 0.872
0.000 0.995 0.743
0.742 0.755 0.628
0.758 0.255 0.872
0.500 0.495 0.757
0.500 0.500 0.500
0.258 0.245 0.372
0.258 0.755 0.628
0.242 0.745 0.128
0.000 0.000 0.500
0.000 0.005 0.257
0.758 0.745 0.128
0.742 0.245 0.372
0.500 0.505 0.243
0.500 0.500 0.000
0.000 0.000 0.000
0.500 0.254 0.754
0.243 0.004 0.874
0.244 0.998 0.624
0.000 0.246 0.752
0.000 0.754 0.746
0.000 0.754 0.504
0.756 0.998 0.624
0.757 0.004 0.874
0.743 0.504 0.626
0.743 0.496 0.374
0.500 0.747 0.504
0.500 0.746 0.748
0.500 0.254 0.252
0.500 0.253 0.496
0.257 0.496 0.374
0.257 0.504 0.626
0.244 0.002 0.376
0.243 0.996 0.126
0.000 0.246 0.496
0.000 0.246 0.254
0.000 0.754 0.248
0.000 0.753 0.004
0.757 0.996 0.126
0.756 0.002 0.376
0.744 0.502 0.124
0.744 0.498 0.876
0.500 0.746 0.246
0.500 0.746 0.004
0.500 0.254 0.996
0.256 0.502 0.124
0.256 0.498 0.876
0.000 0.247 0.996
```



What did the ninth record say?
A geometry-optimized Tb2MgS4 structure, computed with PBE.

Calculated values
As for the space-group type: No. 62. The calculation puts the density at 4736 kg/m3. The calculated total energy comes out at -40.148 eV/f.u. The formation energy from the elements comes out at -2.1065 eV/atom.

```
Tb2MgS4
1.0
-2.744 1.064 2.505
-3.812 -12.029 0.934
8.588 -1.928 10.226
Tb Mg S
8 4 16
direct
0.250 0.118 0.076
0.750 0.882 0.924
0.750 0.382 0.576
0.250 0.618 0.424
0.250 0.139 0.706
0.750 0.861 0.294
0.750 0.361 0.206
0.250 0.639 0.794
0.750 0.111 0.453
0.250 0.889 0.547
0.250 0.389 0.953
0.750 0.611 0.047
0.750 0.008 0.615
0.250 0.992 0.385
0.250 0.492 0.115
0.750 0.508 0.885
0.250 0.027 0.883
0.750 0.973 0.117
0.750 0.473 0.383
0.250 0.527 0.617
0.250 0.225 0.249
0.750 0.775 0.751
0.750 0.275 0.749
0.250 0.725 0.251
0.750 0.262 0.016
0.250 0.738 0.984
0.250 0.238 0.516
0.750 0.762 0.484
```



Q: Among the records above, which one has the lowest calculated total energy?
A: MgTi8S16



Q: Look up the density of the fourth one.
A: 4411 kg/m3



Q: What is the density in the fourth record?
A: 4411 kg/m3